[1]
A relaxed MgV2ZnO6 crystal. Source: the Materials Project, functional PBE with a Hubbard U.

Calculated values
The formation energy is -2.345 eV per atom. Its electronic total energy is -6.6644 eV per atom.

a = 3.9829 Å, b = 5.1697 Å, c = 6.4111 Å
α = 110.90°, β = 90.00°, γ = 112.65°
Fractional coordinates of all 10 atoms:
O (0.6517, 0.3037, 0.1276)
O (0.3488, 0.6981, 0.9045)
O (0.0191, 0.0384, 0.6901)
O (0.6913, 0.3829, 0.5760)
O (0.3164, 0.6332, 0.4291)
O (0.9784, 0.9574, 0.2691)
Zn (0.9463, 0.8933, 0.9327)
Mg (0.4781, 0.9568, 0.2555)
V (0.1846, 0.3697, 0.6298)
V (0.8049, 0.6102, 0.3757)

---

[2]
A relaxed MgV2ZnO6 crystal. Source: the Materials Project, functional PBE with a Hubbard U.

Calculated values
The formation energy is -2.428 eV per atom. Its electronic total energy is -6.7475 eV per atom.

a = 3.8316 Å, b = 5.5427 Å, c = 6.8403 Å
α = 83.48°, β = 90.00°, γ = 110.23°
Fractional coordinates of all 10 atoms:
Zn (0.8778, 0.7568, 0.9196)
O (0.7047, 0.4109, 0.1424)
O (0.9632, 0.9272, 0.2538)
O (0.0703, 0.1418, 0.8420)
O (0.7600, 0.5212, 0.6402)
O (0.3322, 0.6656, 0.8802)
O (0.2489, 0.4990, 0.4006)
V (0.2160, 0.4333, 0.6915)
V (0.8050, 0.6111, 0.3540)
Mg (0.1470, 0.2956, 0.1256)

---

[3]
A relaxed MgV2ZnO6 crystal. Source: the Materials Project, functional PBE with a Hubbard U.

Calculated values
The formation energy is -2.380 eV per atom. Its electronic total energy is -6.6990 eV per atom.

a = 3.6279 Å, b = 5.6658 Å, c = 6.2127 Å
α = 100.75°, β = 90.00°, γ = 108.68°
Fractional coordinates of all 10 atoms:
V (0.7751, 0.5501, 0.3216)
V (0.2250, 0.4499, 0.7040)
O (0.6501, 0.2998, 0.1084)
O (0.9539, 0.9075, 0.2961)
O (0.0462, 0.0926, 0.7305)
O (0.6914, 0.3828, 0.5822)
O (0.3510, 0.7012, 0.9161)
O (0.3082, 0.6164, 0.4433)
Zn (0.9993, 0.0002, 0.0134)
Mg (0.4998, 0.9996, 0.5146)

---

[4]
A relaxed MgV2Zn4O8 crystal. Source: the Materials Project, functional PBE with a Hubbard U.

Calculated values
The formation energy is -2.046 eV per atom. Its electronic total energy is -5.7453 eV per atom.

a = 6.2735 Å, b = 6.2735 Å, c = 6.1878 Å
α = 60.45°, β = 60.45°, γ = 57.36°
Fractional coordinates of all 15 atoms:
O (0.3766, 0.8535, 0.8850)
O (0.4292, 0.8894, 0.3407)
O (0.4077, 0.4077, 0.8092)
O (0.8535, 0.3766, 0.8850)
O (0.8607, 0.8607, 0.4205)
O (0.4077, 0.4077, 0.3753)
O (0.8894, 0.4292, 0.3407)
O (0.8607, 0.8607, 0.8581)
Zn (0.1629, 0.7329, 0.5521)
Zn (0.2982, 0.2982, 0.2018)
Zn (0.9511, 0.9511, 0.0489)
Zn (0.7329, 0.1629, 0.5521)
V (0.6395, 0.6395, 0.6170)
V (0.6395, 0.6395, 0.1039)
Mg (0.2403, 0.2403, 0.7597)

---

[5]
A relaxed MgV2Zn2O7 crystal. Source: the Materials Project, functional PBE with a Hubbard U.

Calculated values
The formation energy is -2.197 eV per atom. Its electronic total energy is -6.2563 eV per atom.

a = 5.2655 Å, b = 5.6104 Å, c = 5.6104 Å
α = 110.46°, β = 100.40°, γ = 100.40°
Fractional coordinates of all 12 atoms:
O (0.2546, 0.9977, 0.6391)
O (0.7744, 0.5564, 0.5328)
O (0.2829, 0.5697, 0.9388)
O (0.0000, 0.9917, 0.0083)
O (0.2256, 0.4672, 0.4436)
O (0.7454, 0.3609, 0.0023)
O (0.7171, 0.0612, 0.4303)
Zn (0.5000, 0.3412, 0.6588)
Zn (0.5000, 0.6880, 0.3120)
V (0.8720, 0.2520, 0.2486)
V (0.1280, 0.7514, 0.7480)
Mg (0.0000, 0.2125, 0.7875)

---

[6]
A relaxed MgV2Zn2O7 crystal. Source: the Materials Project, functional PBE with a Hubbard U.

Calculated values
The formation energy is -2.184 eV per atom. Its electronic total energy is -6.2431 eV per atom.

a = 5.4045 Å, b = 5.5528 Å, c = 5.5528 Å
α = 113.05°, β = 92.78°, γ = 92.78°
Fractional coordinates of all 12 atoms:
V (0.8894, 0.2828, 0.2828)
V (0.1190, 0.7325, 0.7325)
Zn (0.4904, 0.2949, 0.6646)
Zn (0.4904, 0.6646, 0.2949)
O (0.6749, 0.0532, 0.3562)
O (0.6749, 0.3562, 0.0532)
O (0.9881, 0.9976, 0.9976)
O (0.7774, 0.5983, 0.5983)
O (0.3421, 0.6318, 0.9322)
O (0.3421, 0.9322, 0.6318)
O (0.2083, 0.4195, 0.4195)
Mg (0.6156, 0.8988, 0.8988)

---

[7]
A relaxed MgV4ZnO10 crystal. Source: the Materials Project, functional PBE with a Hubbard U.

Calculated values
The formation energy is -2.167 eV per atom. Its electronic total energy is -6.8552 eV per atom.

a = 3.8012 Å, b = 5.6151 Å, c = 11.4105 Å
α = 90.00°, β = 90.00°, γ = 109.78°
Fractional coordinates of all 16 atoms:
Zn (0.8664, 0.7328, 0.7500)
O (0.0428, 0.0857, 0.8558)
O (0.7540, 0.5079, 0.9111)
O (0.9515, 0.9031, 0.3987)
O (0.7540, 0.5079, 0.5889)
O (0.0428, 0.0857, 0.6442)
O (0.3219, 0.6438, 0.7500)
O (0.7498, 0.4995, 0.2500)
O (0.2500, 0.4999, 0.0654)
O (0.9515, 0.9031, 0.1013)
O (0.2500, 0.4999, 0.4346)
V (0.7990, 0.5979, 0.0987)
V (0.2053, 0.4106, 0.9063)
V (0.2053, 0.4106, 0.5937)
V (0.7990, 0.5979, 0.4013)
Mg (0.5427, 0.0854, 0.7500)

---

[8]
A relaxed MgV4ZnO10 crystal. Source: the Materials Project, functional PBE with a Hubbard U.

Calculated values
The formation energy is -2.452 eV per atom. Its electronic total energy is -7.1396 eV per atom.

a = 3.6948 Å, b = 5.4268 Å, c = 11.3382 Å
α = 90.00°, β = 90.00°, γ = 109.87°
Fractional coordinates of all 16 atoms:
V (0.7987, 0.5965, 0.0988)
V (0.7987, 0.5965, 0.4012)
V (0.2022, 0.4036, 0.9033)
V (0.2022, 0.4036, 0.5967)
O (0.7651, 0.5297, 0.5742)
O (0.0426, 0.0847, 0.6286)
O (0.3028, 0.6053, 0.7500)
O (0.7651, 0.5297, 0.9258)
O (0.2331, 0.4650, 0.4225)
O (0.0426, 0.0847, 0.8714)
O (0.2331, 0.4650, 0.0775)
O (0.9584, 0.9160, 0.3710)
O (0.6974, 0.3934, 0.2500)
O (0.9584, 0.9160, 0.1290)
Mg (0.1077, 0.2137, 0.2500)
Zn (0.8960, 0.7922, 0.7500)

---

[9]
A relaxed Mg3WO6 crystal. Source: the Materials Project, functional PBE with a Hubbard U.

Calculated values
The formation energy is -2.727 eV per atom. Its electronic total energy is -6.6156 eV per atom.

a = 9.9605 Å, b = 9.9605 Å, c = 9.9605 Å
α = 90.00°, β = 90.00°, γ = 90.00°
Fractional coordinates of all 80 atoms:
O (0.1941, 0.9079, 0.7093)
O (0.5921, 0.2907, 0.6941)
O (0.4378, 0.0436, 0.6929)
O (0.8059, 0.4079, 0.7907)
O (0.0436, 0.6929, 0.4378)
O (0.0622, 0.9564, 0.1929)
O (0.7907, 0.6941, 0.9079)
O (0.9079, 0.7093, 0.1941)
O (0.3071, 0.9378, 0.4564)
O (0.3059, 0.0921, 0.2093)
O (0.4564, 0.1929, 0.4378)
O (0.1929, 0.4378, 0.4564)
O (0.9079, 0.7907, 0.6941)
O (0.9378, 0.4564, 0.3071)
O (0.5436, 0.8071, 0.5622)
O (0.2907, 0.6941, 0.5921)
O (0.7093, 0.3059, 0.4079)
O (0.1941, 0.5921, 0.2093)
O (0.3059, 0.4079, 0.7093)
O (0.5622, 0.9564, 0.3071)
O (0.4079, 0.7093, 0.3059)
O (0.1929, 0.0622, 0.9564)
O (0.9564, 0.3071, 0.5622)
O (0.3071, 0.5622, 0.9564)
O (0.0921, 0.2907, 0.8059)
O (0.7093, 0.1941, 0.9079)
O (0.7907, 0.8059, 0.4079)
O (0.5921, 0.2093, 0.1941)
O (0.2093, 0.3059, 0.0921)
O (0.6941, 0.9079, 0.7907)
O (0.6941, 0.5921, 0.2907)
O (0.9564, 0.1929, 0.0622)
O (0.0436, 0.8071, 0.9378)
O (0.4564, 0.3071, 0.9378)
O (0.6929, 0.4378, 0.0436)
O (0.5622, 0.5436, 0.8071)
O (0.6929, 0.0622, 0.5436)
O (0.4079, 0.7907, 0.8059)
O (0.0921, 0.2093, 0.3059)
O (0.2093, 0.1941, 0.5921)
O (0.8071, 0.9378, 0.0436)
O (0.8059, 0.0921, 0.2907)
O (0.8071, 0.5622, 0.5436)
O (0.5436, 0.6929, 0.0622)
O (0.0622, 0.5436, 0.6929)
O (0.4378, 0.4564, 0.1929)
O (0.9378, 0.0436, 0.8071)
O (0.2907, 0.8059, 0.0921)
Mg (0.4075, 0.2457, 0.6314)
Mg (0.5925, 0.7543, 0.3686)
Mg (0.2457, 0.6314, 0.4075)
Mg (0.5925, 0.7457, 0.8686)
Mg (0.9075, 0.2457, 0.8686)
Mg (0.7543, 0.1314, 0.0925)
Mg (0.3686, 0.5925, 0.7543)
Mg (0.4075, 0.2543, 0.1314)
Mg (0.1314, 0.0925, 0.7543)
Mg (0.7457, 0.8686, 0.5925)
Mg (0.6314, 0.0925, 0.7457)
Mg (0.7543, 0.3686, 0.5925)
Mg (0.9075, 0.2543, 0.3686)
Mg (0.7457, 0.6314, 0.0925)
Mg (0.2543, 0.3686, 0.9075)
Mg (0.2543, 0.1314, 0.4075)
Mg (0.8686, 0.9075, 0.2457)
Mg (0.1314, 0.4075, 0.2543)
Mg (0.2457, 0.8686, 0.9075)
Mg (0.8686, 0.5925, 0.7457)
Mg (0.0925, 0.7543, 0.1314)
Mg (0.6314, 0.4075, 0.2457)
Mg (0.0925, 0.7457, 0.6314)
Mg (0.3686, 0.9075, 0.2543)
W (0.6227, 0.1227, 0.3773)
W (0.6227, 0.3773, 0.8773)
W (0.3773, 0.8773, 0.6227)
W (0.8773, 0.6227, 0.3773)
W (0.1227, 0.1227, 0.1227)
W (0.1227, 0.3773, 0.6227)
W (0.3773, 0.6227, 0.1227)
W (0.8773, 0.8773, 0.8773)

---

[10]
A relaxed Mg2W9O13 crystal. Source: the Materials Project, functional PBE with a Hubbard U.

Calculated values
The formation energy is -1.216 eV per atom. Its electronic total energy is -6.8525 eV per atom.

a = 3.2226 Å, b = 5.5270 Å, c = 19.1479 Å
α = 96.35°, β = 88.32°, γ = 106.26°
Fractional coordinates of all 24 atoms:
O (0.7924, 0.6985, 0.2216)
O (0.0185, 0.2242, 0.4112)
O (0.2076, 0.3015, 0.7784)
O (0.4660, 0.0120, 0.1235)
O (0.7355, 0.3002, 0.6589)
O (0.5340, 0.9880, 0.8765)
O (0.2645, 0.6998, 0.3411)
O (0.5332, 0.2357, 0.2901)
O (0.1960, 0.4637, 0.1182)
O (0.9815, 0.7758, 0.5888)
O (0.4668, 0.7643, 0.7099)
O (0.8040, 0.5363, 0.8818)
O (0.0000, 0.0000, 0.0000)
W (0.3571, 0.5191, 0.6054)
W (0.0000, 0.0000, 0.5000)
W (0.1532, 0.2352, 0.8838)
W (0.3816, 0.7196, 0.9498)
W (0.0973, 0.0288, 0.6874)
W (0.8468, 0.7648, 0.1162)
W (0.6429, 0.4809, 0.3946)
W (0.6184, 0.2804, 0.0502)
W (0.9027, 0.9712, 0.3126)
Mg (0.1852, 0.4757, 0.2362)
Mg (0.8148, 0.5243, 0.7638)

---

[11]
A relaxed MgWO6 crystal. Source: the Materials Project, functional PBE with a Hubbard U.

Calculated values
The formation energy is -1.535 eV per atom. Its electronic total energy is -6.3907 eV per atom.

a = 10.4615 Å, b = 5.7491 Å, c = 8.6112 Å
α = 87.39°, β = 90.00°, γ = 90.00°
Fractional coordinates of all 32 atoms:
O (0.8577, 0.3439, 0.8169)
O (0.3807, 0.5734, 0.0052)
O (0.9623, 0.9050, 0.6960)
O (0.7790, 0.0003, 0.0519)
O (0.4623, 0.0950, 0.8040)
O (0.3577, 0.6561, 0.6831)
O (0.6106, 0.4370, 0.6476)
O (0.5470, 0.9455, 0.8157)
O (0.4530, 0.0545, 0.1843)
O (0.8807, 0.4266, 0.4948)
O (0.3894, 0.5630, 0.3524)
O (0.0377, 0.0950, 0.3040)
O (0.1423, 0.6561, 0.1831)
O (0.9530, 0.9455, 0.3157)
O (0.7210, 0.0003, 0.5519)
O (0.2790, 0.9997, 0.4481)
O (0.2210, 0.9997, 0.9481)
O (0.6193, 0.4266, 0.9948)
O (0.1106, 0.5630, 0.8524)
O (0.0470, 0.0545, 0.6843)
O (0.8894, 0.4370, 0.1476)
O (0.1193, 0.5734, 0.5052)
O (0.6423, 0.3439, 0.3169)
O (0.5377, 0.9050, 0.1960)
W (0.2860, 0.6969, 0.4914)
W (0.2140, 0.6969, 0.9914)
W (0.7860, 0.3031, 0.0086)
W (0.7140, 0.3031, 0.5086)
Mg (0.0001, 0.5337, 0.3177)
Mg (0.5001, 0.4663, 0.1823)
Mg (0.9999, 0.4663, 0.6823)
Mg (0.4999, 0.5337, 0.8177)

---

[12]
A relaxed MgWO2 crystal. Source: the Materials Project, functional PBE with a Hubbard U.

Calculated values
The formation energy is -1.471 eV per atom. Its electronic total energy is -6.1312 eV per atom.

a = 2.8742 Å, b = 8.6153 Å, c = 8.6211 Å
α = 98.09°, β = 97.86°, γ = 89.94°
Fractional coordinates of all 16 atoms:
W (0.3136, 0.5856, 0.6395)
W (0.0532, 0.8436, 0.0292)
W (0.6864, 0.4144, 0.3605)
W (0.9468, 0.1564, 0.9708)
Mg (0.3188, 0.2628, 0.6309)
Mg (0.1909, 0.0858, 0.3060)
Mg (0.8091, 0.9142, 0.6940)
Mg (0.6812, 0.7372, 0.3691)
O (0.3639, 0.0956, 0.7715)
O (0.1450, 0.5700, 0.2700)
O (0.2490, 0.8104, 0.5384)
O (0.4726, 0.7721, 0.8425)
O (0.7510, 0.1896, 0.4616)
O (0.6361, 0.9044, 0.2285)
O (0.8550, 0.4300, 0.7300)
O (0.5274, 0.2279, 0.1575)

---

[13]
A relaxed MgWO2 crystal. Source: the Materials Project, functional PBE with a Hubbard U.

Calculated values
The formation energy is -1.419 eV per atom. Its electronic total energy is -6.0801 eV per atom.

a = 8.2475 Å, b = 8.2475 Å, c = 10.6524 Å
α = 50.56°, β = 50.56°, γ = 22.04°
Fractional coordinates of all 16 atoms:
Mg (0.3334, 0.3334, 0.1537)
Mg (0.0104, 0.0104, 0.8493)
Mg (0.6666, 0.6666, 0.8463)
Mg (0.9896, 0.9896, 0.1507)
O (0.1658, 0.1658, 0.2942)
O (0.8113, 0.8113, 0.3138)
O (0.1887, 0.1887, 0.6862)
O (0.8350, 0.8350, 0.9925)
O (0.4746, 0.4746, 0.3035)
O (0.1650, 0.1650, 0.0075)
O (0.5254, 0.5254, 0.6965)
O (0.8342, 0.8342, 0.7058)
W (0.1586, 0.1586, 0.5052)
W (0.3516, 0.3516, 0.8230)
W (0.6484, 0.6484, 0.1770)
W (0.8414, 0.8414, 0.4948)

---

[14]
A relaxed MgWO4 crystal. Source: the Materials Project, functional PBE with a Hubbard U.

Calculated values
The formation energy is -2.567 eV per atom. Its electronic total energy is -7.0947 eV per atom.

a = 4.7425 Å, b = 5.0443 Å, c = 5.7515 Å
α = 90.00°, β = 90.00°, γ = 91.18°
Fractional coordinates of all 12 atoms:
W (0.0000, 0.7500, 0.1752)
W (0.0000, 0.2500, 0.8248)
Mg (0.5000, 0.2500, 0.3346)
Mg (0.5000, 0.7500, 0.6654)
O (0.2161, 0.9332, 0.8908)
O (0.2161, 0.4332, 0.1092)
O (0.7408, 0.6004, 0.3756)
O (0.2592, 0.8996, 0.3756)
O (0.7839, 0.0668, 0.1092)
O (0.7839, 0.5668, 0.8908)
O (0.7408, 0.1004, 0.6244)
O (0.2592, 0.3996, 0.6244)

---

[15]
A relaxed MgWO3 crystal. Source: the Materials Project, functional PBE with a Hubbard U.

Calculated values
The formation energy is -2.379 eV per atom. Its electronic total energy is -6.9599 eV per atom.

a = 5.3052 Å, b = 5.4253 Å, c = 7.8981 Å
α = 90.00°, β = 90.00°, γ = 90.00°
Fractional coordinates of all 20 atoms:
O (0.6679, 0.3218, 0.4279)
O (0.8729, 0.5952, 0.7500)
O (0.1679, 0.1782, 0.5721)
O (0.1679, 0.1782, 0.9279)
O (0.6679, 0.3218, 0.0721)
O (0.3729, 0.9048, 0.2500)
O (0.1271, 0.4048, 0.2500)
O (0.3321, 0.6782, 0.5721)
O (0.8321, 0.8218, 0.4279)
O (0.6271, 0.0952, 0.7500)
O (0.8321, 0.8218, 0.0721)
O (0.3321, 0.6782, 0.9279)
Mg (0.0111, 0.0325, 0.2500)
Mg (0.4889, 0.5325, 0.2500)
Mg (0.5111, 0.4675, 0.7500)
Mg (0.9889, 0.9675, 0.7500)
W (0.0000, 0.5000, 0.0000)
W (0.0000, 0.5000, 0.5000)
W (0.5000, 0.0000, 0.5000)
W (0.5000, 0.0000, 0.0000)